No. 1
## BiWO5 (PBE with a Hubbard U)

Data for crystalline BiWO5 at its relaxed geometry.

a b c (Å): 6.2397 12.0698 16.1430
angles (deg): 90.00 90.00 90.00
With the nearest neighbours (Å) after each atom.
Positions (direct):
Bi 0.9273 0.8199 0.2082  3 O 2.08-2.24
Bi 0.0727 0.1801 0.7918  3 O 2.08-2.24
Bi 0.5727 0.3199 0.7918  3 O 2.08-2.24
Bi 0.0727 0.6801 0.7082  3 O 2.08-2.24
Bi 0.4273 0.1801 0.2918  3 O 2.08-2.24
Bi 0.4273 0.6801 0.2082  3 O 2.08-2.24
Bi 0.5727 0.8199 0.7082  3 O 2.08-2.24
Bi 0.9273 0.3199 0.2918  3 O 2.08-2.24
W 0.9794 0.3975 0.6146  4 O 1.76-1.94
W 0.5206 0.8975 0.3854  4 O 1.76-1.94
W 0.0206 0.6025 0.3854  4 O 1.76-1.94
W 0.4794 0.1025 0.6146  4 O 1.76-1.94
W 0.0206 0.1025 0.1146  4 O 1.76-1.94
W 0.9794 0.8975 0.8854  4 O 1.76-1.94
W 0.5206 0.3975 0.1146  4 O 1.76-1.94
W 0.4794 0.6025 0.8854  4 O 1.76-1.94
O 0.8865 0.2976 0.7014  1 W 1.94
O 0.2536 0.0449 0.0714  1 W 1.76
O 0.2464 0.5449 0.9286  1 W 1.76
O 0.2303 0.7963 0.1510  2 Bi 2.08-2.12
O 0.2697 0.2963 0.8490  2 Bi 2.08-2.12
O 0.8865 0.7976 0.7986  1 W 1.94
O 0.2697 0.7963 0.6510  2 Bi 2.08-2.12
O 0.6135 0.7976 0.2986  1 W 1.94
O 0.2536 0.5449 0.4286  1 W 1.76
O 0.1135 0.7024 0.2986  1 W 1.94
O 0.6135 0.2976 0.2014  1 W 1.94
O 0.6249 0.1741 0.5385  1 W 1.76
O 0.7536 0.9551 0.4286  1 W 1.76
O 0.7697 0.7037 0.6510  2 Bi 2.08-2.12
O 0.1503 0.0100 0.8377  1 W 1.89
O 0.7536 0.4551 0.0714  1 W 1.76
O 0.1135 0.2024 0.2014  1 W 1.94
O 0.7303 0.2037 0.3490  2 Bi 2.08-2.12
O 0.1249 0.8259 0.9615  1 W 1.76
O 0.2464 0.0449 0.5714  1 W 1.76
O 0.3751 0.8259 0.4615  1 W 1.76
O 0.8497 0.9900 0.1623  1 W 1.89
O 0.7697 0.2037 0.8490  2 Bi 2.08-2.12
O 0.6503 0.9900 0.6623  1 W 1.89
O 0.3751 0.3259 0.0385  1 W 1.76
O 0.1249 0.3259 0.5385  1 W 1.76
O 0.7464 0.4551 0.5714  1 W 1.76
O 0.7464 0.9551 0.9286  1 W 1.76
O 0.6503 0.4900 0.8377  1 W 1.89
O 0.8751 0.6741 0.4615  1 W 1.76
O 0.8751 0.1741 0.0385  1 W 1.76
O 0.6249 0.6741 0.9615  1 W 1.76
O 0.8497 0.4900 0.3377  1 W 1.89
O 0.7303 0.7037 0.1510  2 Bi 2.08-2.12
O 0.2303 0.2963 0.3490  2 Bi 2.08-2.12
O 0.1503 0.5100 0.6623  1 W 1.89
O 0.3497 0.5100 0.1623  1 W 1.89
O 0.3865 0.2024 0.7014  1 W 1.94
O 0.3497 0.0100 0.3377  1 W 1.89
O 0.3865 0.7024 0.7986  1 W 1.94

Values from the calculation:
size of the total moment	0.0	μB/f.u.
ΔH_f (0 K)	-1551	meV/atom
volume	1215.7	Å³ per cell
excess energy over the best structure of this formula in the dataset	54.3	meV/atom

---

No. 2
## BiW2O8 (PBE with a Hubbard U)

Data for crystalline BiW2O8 at its relaxed geometry.

a b c (Å): 5.9925 5.1902 11.3006
angles (deg): 64.57 90.00 90.00
With the nearest neighbours (Å) after each atom.
Positions (direct):
Bi 0.3383 0.5000 0.7500  6 O 2.24-2.36
Bi 0.6617 0.5000 0.2500  6 O 2.24-2.36
W 0.1656 0.2725 0.4910  3 O 1.84-1.87
W 0.1656 0.7275 0.0090  3 O 1.84-1.87
W 0.8344 0.7275 0.5090  3 O 1.84-1.87
W 0.8344 0.2725 0.9910  3 O 1.84-1.87
O 0.3539 0.7299 0.8787  1 W 1.85
O 0.3539 0.2701 0.6213  1 W 1.85
O 0.6461 0.2701 0.1213  1 W 1.85
O 0.6461 0.7299 0.3787  1 W 1.85
O 0.8967 0.1576 0.4061  2 W 2.06-2.09
O 0.8967 0.8424 0.0939  2 W 2.06-2.09
O 0.1033 0.8424 0.5939  2 W 2.06-2.09
O 0.1033 0.1576 0.9061  2 W 2.06-2.09
O 0.6204 0.2547 0.8784  1 W 1.84
O 0.6204 0.7453 0.6216  1 W 1.84
O 0.3796 0.7453 0.1216  1 W 1.84
O 0.3796 0.2547 0.3784  1 W 1.84
O 0.9081 0.6567 0.8946  1 W 1.87
O 0.0919 0.3433 0.1054  1 W 1.87
O 0.9081 0.3433 0.6054  1 W 1.87
O 0.0919 0.6567 0.3946  1 W 1.87

Values from the calculation:
size of the total moment	0.0	μB/f.u.
ΔH_f (0 K)	-1902	meV/atom
volume	317.4	Å³ per cell
excess energy over the best structure of this formula in the dataset	0.0	meV/atom

---

No. 3
## Bi2WO6 (PBE with a Hubbard U)

Data for crystalline Bi2WO6 at its relaxed geometry.

a b c (Å): 15.6703 10.4648 3.6902
angles (deg): 90.00 90.00 90.00
With the nearest neighbours (Å) after each atom.
Positions (direct):
Bi 0.8961 0.3662 0.0105  3 O 2.09-2.31
Bi 0.1039 0.8662 0.9895  3 O 2.09-2.31
Bi 0.6039 0.8662 0.0105  3 O 2.09-2.31
Bi 0.1761 0.4610 0.9767  1 O 2.06
Bi 0.3961 0.3662 0.9895  3 O 2.09-2.31
Bi 0.6761 0.4610 0.0233  1 O 2.06
Bi 0.3239 0.9610 0.9767  1 O 2.06
Bi 0.8239 0.9610 0.0233  1 O 2.06
W 0.9453 0.6747 0.5164  4 O 1.94-2.09
W 0.4453 0.6747 0.4836  4 O 1.94-2.09
W 0.5547 0.1747 0.5164  4 O 1.94-2.09
W 0.0547 0.1747 0.4836  4 O 1.94-2.09
O 0.6069 0.3426 0.5296  1 W 1.94
O 0.5314 0.1074 0.0150  2 W 2.00-2.01
O 0.7668 0.3186 0.0338  2 Bi 2.06-2.09
O 0.1069 0.3426 0.4704  1 W 1.94
O 0.2332 0.8186 0.9662  2 Bi 2.06-2.09
O 0.2498 0.0530 0.4721  1 O 1.49
O 0.3931 0.8426 0.4704  1 W 1.94
O 0.7502 0.5530 0.5279  1 O 1.49
O 0.5701 0.7457 0.5067  1 W 2.09, 2 Bi 2.29-2.31
O 0.6563 0.0295 0.5309  1 O 1.49
O 0.0701 0.7457 0.4933  1 W 2.09, 2 Bi 2.29-2.31
O 0.4686 0.6074 0.9850  2 W 2.00-2.01
O 0.1563 0.0295 0.4691  1 O 1.49
O 0.2502 0.5530 0.4721  1 O 1.49
O 0.8931 0.8426 0.5296  1 W 1.94
O 0.3437 0.5295 0.4691  1 O 1.49
O 0.0314 0.1074 0.9850  2 W 2.00-2.01
O 0.2668 0.3186 0.9662  2 Bi 2.06-2.09
O 0.8437 0.5295 0.5309  1 O 1.49
O 0.9686 0.6074 0.0150  2 W 2.00-2.01
O 0.7498 0.0530 0.5279  1 O 1.49
O 0.9299 0.2457 0.5067  1 W 2.09, 2 Bi 2.29-2.31
O 0.7332 0.8186 0.0338  2 Bi 2.06-2.09
O 0.4299 0.2457 0.4933  1 W 2.09, 2 Bi 2.29-2.31

Values from the calculation:
size of the total moment	2.0	μB/f.u.
ΔH_f (0 K)	-1244	meV/atom
volume	605.1	Å³ per cell
excess energy over the best structure of this formula in the dataset	712.8	meV/atom

---

No. 4
## Bi2WO6 (PBE with a Hubbard U)

Data for crystalline Bi2WO6 at its relaxed geometry.

a b c (Å): 9.0004 9.0004 5.5001
angles (deg): 90.00 90.00 144.13
With the nearest neighbours (Å) after each atom.
Positions (direct):
Bi 0.2790 0.6281 0.0250  4 O 2.21-2.47
Bi 0.6281 0.2790 0.9750  4 O 2.21-2.47
Bi 0.7790 0.1281 0.4750  4 O 2.21-2.47
Bi 0.1281 0.7790 0.5250  4 O 2.21-2.47
W 0.5109 0.5109 0.5000  4 O 1.87-1.91
W 0.0109 0.0109 0.0000  4 O 1.87-1.91
O 0.4611 0.6728 0.4075  1 W 1.91
O 0.6728 0.4611 0.5925  1 W 1.91
O 0.9611 0.1728 0.0925  1 W 1.91
O 0.1728 0.9611 0.9075  1 W 1.91
O 0.8124 0.7649 0.2450  1 W 1.87
O 0.7649 0.8124 0.7550  1 W 1.87
O 0.9806 0.4803 0.7620  3 Bi 2.21-2.32
O 0.4803 0.9806 0.2380  3 Bi 2.21-2.32
O 0.4806 0.9803 0.7380  3 Bi 2.21-2.32
O 0.9803 0.4806 0.2620  3 Bi 2.21-2.32
O 0.2649 0.3124 0.7450  1 W 1.87
O 0.3124 0.2649 0.2550  1 W 1.87

Values from the calculation:
piezoelectric modulus e_max	5.70	C/m2
ΔH_f (0 K)	-1957	meV/atom
volume	261.1	Å³ per cell
excess energy over the best structure of this formula in the dataset	0.0	meV/atom

---

No. 5
## Bi6W4O21 (PBE with a Hubbard U)

Data for crystalline Bi6W4O21 at its relaxed geometry.

a b c (Å): 5.0578 5.1007 18.6196
angles (deg): 87.46 86.27 85.12
With the nearest neighbours (Å) after each atom.
Positions (direct):
Bi 0.5416 0.4543 0.9213  3 O 2.17-2.20
Bi 0.4517 0.4992 0.6918  1 O 2.06
Bi 0.9560 0.0059 0.4060  3 O 2.14-2.26
Bi 0.9238 0.9919 0.5986  4 O 2.13-2.39
Bi 0.6967 0.5627 0.1006  5 O 2.20-2.39
Bi 0.5548 0.5370 0.3232  2 O 2.08-2.26
W 0.9520 0.9648 0.7868  4 O 1.81-1.88
W 0.0776 0.0350 0.0246  4 O 1.83-1.98
W 0.4503 0.5075 0.5062  6 O 1.88-2.09
W 0.1240 0.0835 0.2016  4 O 1.80-1.93
O 0.7227 0.1217 0.8592  1 W 1.88
O 0.3811 0.8133 0.0291  1 W 1.83
O 0.1957 0.8246 0.5172  1 W 1.99, 1 Bi 2.13
O 0.6605 0.6484 0.5838  1 W 2.04
O 0.1671 0.8129 0.6871  2 Bi 2.06-2.24, 1 W 2.23
O 0.1176 0.8554 0.2815  1 W 1.85
O 0.1767 0.7438 0.8369  1 W 1.81
O 0.2675 0.4442 0.4240  1 W 1.89
O 0.8791 0.7650 0.0008  1 W 1.86
O 0.7023 0.6723 0.4260  1 W 2.09, 2 Bi 2.22-2.26
O 0.1922 0.2329 0.9429  1 W 1.87
O 0.2715 0.3306 0.5829  1 W 1.88
O 0.6966 0.2664 0.0183  2 Bi 2.17-2.20, 1 W 2.18
O 0.6818 0.8209 0.7418  1 W 1.87
O 0.0992 0.3051 0.0963  1 W 1.98
O 0.0728 0.2705 0.7459  1 W 1.84
O 0.9467 0.3822 0.2362  1 W 1.82
O 0.6277 0.1341 0.3429  2 Bi 2.08-2.14
O 0.7136 0.2032 0.4977  1 W 1.96
O 0.9920 0.8614 0.1329  1 W 1.93
O 0.4752 0.1173 0.1876  1 W 1.80

Values from the calculation:
size of the total moment	0.0	μB/f.u.
ΔH_f (0 K)	-1847	meV/atom
volume	477.2	Å³ per cell